{
  "formula": "Na5Nb3GaSi5PO24",
  "functional": "PBE",
  "state": "optimized geometry",
  "formation_enthalpy_0k_ev_per_atom": -2.884,
  "vol_a3_per_cell": 1573,
  "spacegroup": "P1",
  "lattice_angstrom": [[8.986, 0.000, 0.000], [4.480, 7.802, 0.000], [0.081, -0.020, 22.441]],
  "species": ["Na", "Na", "Na", "Na", "Na", "Na", "Na", "Na", "Na", "Na", "Na", "Na", "Na", "Na", "Na", "Nb", "Nb", "Nb", "Nb", "Nb", "Nb", "Nb", "Nb", "Nb", "Ga", "Ga", "Ga", "Si", "Si", "Si", "Si", "Si", "Si", "Si", "Si", "Si", "Si", "Si", "Si", "Si", "Si", "Si", "P", "P", "P", "O", "O", "O", "O", "O", "O", "O", "O", "O", "O", "O", "O", "O", "O", "O", "O", "O", "O", "O", "O", "O", "O", "O", "O", "O", "O", "O", "O", "O", "O", "O", "O", "O", "O", "O", "O", "O", "O", "O", "O", "O", "O", "O", "O", "O", "O", "O", "O", "O", "O", "O", "O", "O", "O", "O", "O", "O", "O", "O", "O", "O", "O", "O", "O", "O", "O", "O", "O", "O", "O", "O", "O"],
  "fractional_positions": [[0.000, 0.000, 0.000], [0.000, 0.010, 0.496], [0.314, 0.659, 0.585], [0.323, 0.710, 0.912], [0.333, 0.332, 0.164], [0.335, 0.322, 0.666], [0.376, 0.635, 0.247], [0.635, 0.989, 0.246], [0.652, 0.668, 0.822], [0.667, 0.026, 0.585], [0.667, 0.668, 0.334], [0.709, 0.968, 0.913], [0.968, 0.323, 0.912], [0.990, 0.376, 0.246], [0.992, 0.636, 0.744], [0.001, 0.999, 0.356], [0.004, 0.000, 0.646], [0.328, 0.334, 0.521], [0.334, 0.332, 0.314], [0.335, 0.328, 0.023], [0.338, 0.334, 0.811], [0.668, 0.665, 0.478], [0.672, 0.665, 0.981], [0.997, 0.003, 0.143], [0.007, 0.997, 0.852], [0.653, 0.669, 0.683], [0.671, 0.669, 0.187], [0.041, 0.333, 0.416], [0.047, 0.624, 0.916], [0.293, 0.996, 0.248], [0.300, 0.714, 0.752], [0.331, 0.044, 0.916], [0.334, 0.625, 0.417], [0.385, 0.952, 0.586], [0.625, 0.042, 0.418], [0.627, 0.329, 0.916], [0.667, 0.954, 0.087], [0.669, 0.380, 0.585], [0.712, 0.293, 0.249], [0.950, 0.662, 0.589], [0.956, 0.379, 0.087], [0.999, 0.711, 0.249], [0.381, 0.665, 0.086], [0.714, 0.997, 0.752], [0.997, 0.290, 0.754], [0.017, 0.173, 0.699], [0.019, 0.816, 0.911], [0.028, 0.161, 0.412], [0.038, 0.802, 0.192], [0.132, 0.498, 0.857], [0.135, 0.357, 0.356], [0.146, 0.361, 0.077], [0.149, 0.504, 0.580], [0.160, 0.027, 0.912], [0.161, 0.812, 0.411], [0.162, 0.036, 0.192], [0.165, 0.311, 0.473], [0.167, 0.301, 0.755], [0.170, 0.806, 0.694], [0.175, 0.521, 0.254], [0.175, 0.527, 0.972], [0.193, 0.969, 0.592], [0.197, 0.967, 0.306], [0.202, 0.829, 0.087], [0.207, 0.819, 0.813], [0.301, 0.524, 0.755], [0.302, 0.170, 0.973], [0.309, 0.171, 0.254], [0.311, 0.531, 0.477], [0.357, 0.506, 0.358], [0.361, 0.145, 0.577], [0.361, 0.505, 0.077], [0.371, 0.137, 0.859], [0.466, 0.827, 0.527], [0.472, 0.685, 0.029], [0.481, 0.826, 0.245], [0.485, 0.639, 0.142], [0.489, 0.690, 0.745], [0.495, 0.369, 0.859], [0.500, 0.147, 0.077], [0.501, 0.352, 0.577], [0.503, 0.854, 0.923], [0.506, 0.138, 0.358], [0.507, 0.639, 0.421], [0.509, 0.878, 0.643], [0.522, 0.305, 0.254], [0.530, 0.160, 0.477], [0.532, 0.163, 0.756], [0.532, 0.297, 0.973], [0.618, 0.506, 0.642], [0.634, 0.875, 0.147], [0.638, 0.507, 0.922], [0.640, 0.855, 0.423], [0.688, 0.482, 0.244], [0.688, 0.838, 0.026], [0.700, 0.468, 0.526], [0.701, 0.834, 0.748], [0.800, 0.023, 0.695], [0.803, 0.161, 0.192], [0.812, 0.028, 0.411], [0.815, 0.162, 0.909], [0.822, 0.977, 0.809], [0.825, 0.702, 0.531], [0.830, 0.691, 0.247], [0.834, 0.183, 0.592], [0.838, 0.197, 0.306], [0.838, 0.472, 0.026], [0.843, 0.968, 0.088], [0.846, 0.473, 0.748], [0.857, 0.507, 0.422], [0.857, 0.637, 0.923], [0.870, 0.636, 0.650], [0.871, 0.490, 0.147], [0.970, 0.836, 0.306], [0.972, 0.837, 0.593], [0.977, 0.186, 0.088], [0.977, 0.208, 0.811]]
}

---

{
  "formula": "ScRh3C",
  "functional": "PBE",
  "state": "optimized geometry",
  "formation_enthalpy_0k_ev_per_atom": -0.495,
  "vol_a3_per_cell": 69,
  "spacegroup": "Pm-3m",
  "lattice_angstrom": [[4.106, 0.000, 0.000], [0.000, 4.106, 0.000], [0.000, 0.000, 4.106]],
  "species": ["Sc", "Rh", "Rh", "Rh", "C"],
  "fractional_positions": [[0.000, 0.000, 0.000], [0.000, 0.500, 0.500], [0.500, 0.000, 0.500], [0.500, 0.500, 0.000], [0.500, 0.500, 0.500]]
}

---

{
  "formula": "MgAl2H8",
  "functional": "PBE",
  "state": "optimized geometry",
  "e_above_lowest_polymorph_mev_per_atom": 0.0,
  "formation_enthalpy_0k_ev_per_atom": -0.149,
  "vol_a3_per_cell": 143,
  "spacegroup": "P-3m1",
  "lattice_angstrom": [[5.233, 0.000, 0.000], [-2.616, 4.532, 0.000], [0.000, 0.000, 6.043]],
  "species": ["Mg", "Al", "Al", "H", "H", "H", "H", "H", "H", "H", "H"],
  "fractional_positions": [[0.000, 0.000, 0.000], [0.333, 0.667, 0.706], [0.667, 0.333, 0.294], [0.168, 0.335, 0.810], [0.168, 0.832, 0.810], [0.333, 0.667, 0.440], [0.335, 0.168, 0.190], [0.665, 0.832, 0.810], [0.667, 0.333, 0.560], [0.832, 0.168, 0.190], [0.832, 0.665, 0.190]]
}